# 1
CaIn2Cu after structural relaxation, computed with meta-GGA r2SCAN.

POSCAR file:
```
CaIn2Cu
1.0
4.441 0.000 0.000
0.000 7.402 0.000
-2.208 0.000 5.387
Ca In Cu
2 4 2
direct
0.068 0.250 0.135
0.932 0.750 0.865
0.356 0.051 0.712
0.356 0.449 0.712
0.644 0.551 0.288
0.644 0.949 0.288
0.214 0.750 0.429
0.786 0.250 0.571
```

As for the calculated total energy: -16.165 eV/atom. The magnetic moment is 0.00 μB/atom. Its space-group type is No. 11.



# 2
CaIn6Cu6 after structural relaxation, computed with meta-GGA r2SCAN.

POSCAR file:
```
CaIn6Cu6
1.0
-2.680 4.597 4.637
2.680 -4.597 4.637
2.680 4.597 -4.637
Ca In Cu
1 6 6
direct
0.000 0.000 0.000
0.183 0.683 0.500
0.337 0.000 0.337
0.342 0.342 0.000
0.658 0.658 0.000
0.663 0.000 0.663
0.817 0.317 0.500
0.000 0.000 0.500
0.000 0.500 0.000
0.238 0.500 0.738
0.500 0.000 0.000
0.500 0.500 0.500
0.762 0.500 0.262
```

As for the calculated total energy: -16.120 eV/atom. The magnetic moment is 0.00 μB/atom. Its space-group type is No. 71.